Entry A
# AlSi3O8

A geometry-optimized AlSi3O8 structure (GGA-PBE, the Materials Project).

Computed properties:
**Space-group type**: P-1, No. 2
**V**: 364.8 Å³ per cell

```
AlSi3O8
1.0
-3.648 -5.967 -2.607
7.220 -2.483 0.152
-3.375 1.552 7.063
Al Si O
2 6 16
Cartesian
4.620 -3.079 0.932
-4.423 -3.818 3.675
0.192 -2.216 4.932
2.578 -3.127 3.329
0.004 -4.681 -0.325
-2.381 -3.770 1.278
-2.288 -0.543 5.375
2.484 -6.355 -0.768
-2.028 -2.182 1.289
0.625 -3.177 -0.549
2.225 -4.715 3.318
-0.428 -3.721 5.156
3.164 -2.735 1.875
-1.009 -1.172 4.547
-2.968 -4.162 2.732
1.205 -5.726 0.060
2.103 -7.762 -1.426
-1.906 0.864 6.033
0.903 -1.730 6.299
3.696 -2.835 4.486
-0.706 -5.168 -1.692
-3.500 -4.063 0.121
1.237 -2.265 3.686
-1.040 -4.633 0.921
```



Entry B
# AlSi3O8

A geometry-optimized AlSi3O8 structure (GGA-PBE, the Materials Project).

Computed properties:
**Space-group type**: Pc, No. 7
**V**: 401.6 Å³ per cell

```
AlSi3O8
1.0
-5.005 -0.475 0.400
0.765 -0.631 8.823
-0.054 8.302 9.181
Al Si O
2 6 16
Cartesian
-2.782 4.809 12.128
-1.268 0.799 7.418
-3.567 1.691 12.094
-0.542 6.670 10.742
-1.837 1.216 1.841
-4.007 2.188 6.430
-3.188 5.242 6.537
0.016 6.185 16.396
-1.548 5.448 11.068
0.007 1.750 11.043
-4.165 5.871 11.914
-3.139 1.292 2.824
-0.160 2.097 7.005
-1.784 5.574 7.304
-2.752 1.181 6.576
-3.626 5.559 15.922
-3.188 3.188 11.649
-1.105 -0.222 2.098
-3.588 3.696 6.885
-0.701 7.578 16.039
-2.240 4.820 13.777
-4.533 2.221 4.890
-0.281 6.778 9.139
-1.536 0.733 9.132
```



Entry C
# AlSi3O8

A geometry-optimized AlSi3O8 structure (GGA-PBE, the Materials Project).

Computed properties:
**Space-group type**: P-1, No. 2
**V**: 340.1 Å³ per cell

```
AlSi3O8
1.0
-6.172 -1.115 -3.767
1.915 -5.380 5.193
-1.391 6.518 4.018
Al Si O
2 6 16
Cartesian
-1.465 1.857 5.128
-4.183 -1.833 0.316
-3.132 -0.903 4.653
-6.048 0.265 -1.345
-2.515 0.927 0.791
0.401 -0.241 6.789
-1.656 -3.210 3.267
-3.991 3.233 2.177
-0.285 1.112 6.213
-0.747 -3.703 4.538
-5.363 -1.088 -0.769
-4.901 3.727 0.906
-2.184 -1.688 3.560
-0.574 2.187 3.649
-3.464 1.712 1.884
-5.073 -2.163 1.795
-4.690 -0.991 4.182
-0.958 1.014 1.262
-0.797 -3.295 1.912
-4.851 3.319 3.533
-2.674 0.626 4.809
-2.968 -4.189 3.172
-2.974 -0.602 0.635
-2.679 4.213 2.272
```



Result of the stability comparison: entry B is the most stable of them.



Entry A
# Al8SiO14

A geometry-optimized Al8SiO14 structure (GGA-PBE, the Materials Project).

Computed properties:
**Space-group type**: Pnma, No. 62
**V**: 1071.1 Å³ per cell

```
Al8SiO14
1.0
-5.688 -0.184 1.736
-0.492 -7.327 -2.390
6.676 -7.331 21.098
Al Si O
32 4 56
Cartesian
3.338 -3.665 10.549
0.494 -3.758 11.417
2.409 -6.022 12.353
-0.449 -6.111 13.176
2.262 -10.746 11.369
1.381 -8.693 13.831
-1.445 -8.785 14.693
3.273 -6.535 15.131
0.435 -6.668 16.012
3.474 -10.724 15.343
0.640 -10.791 16.246
5.523 -6.093 17.483
2.697 -6.185 18.345
1.478 -9.167 19.164
4.306 -12.051 17.928
1.449 -12.117 18.759
-3.090 -3.756 -0.327
-0.246 -3.663 -1.195
-0.954 -2.725 1.684
-3.810 -2.791 2.515
-0.982 -5.675 1.279
-5.027 -8.749 2.960
-2.201 -8.657 2.098
-0.144 -4.051 4.197
-2.978 -4.118 5.100
0.061 -8.174 4.431
-2.778 -8.307 5.312
-0.885 -6.149 6.613
1.941 -6.057 5.750
-1.766 -4.096 9.074
0.945 -8.730 7.267
-1.913 -8.820 8.090
-0.577 -10.872 12.251
4.313 -9.093 18.265
-3.817 -5.749 2.178
1.073 -3.970 8.192
3.580 -5.443 11.170
0.745 -5.535 12.035
1.745 -10.663 9.686
-1.060 -10.743 10.682
2.531 -7.761 12.569
-0.302 -7.813 13.475
0.912 -10.169 12.432
-1.750 -10.255 13.245
2.876 -5.197 13.970
0.035 -5.222 14.856
4.596 -7.324 14.304
1.764 -7.416 15.168
3.063 -9.562 14.119
0.238 -9.600 15.058
3.769 -6.328 16.776
0.935 -6.507 17.668
-0.800 -11.749 16.503
2.032 -11.658 15.639
4.000 -10.294 17.112
1.150 -10.451 17.955
5.590 -8.157 17.778
2.928 -8.243 18.591
3.966 -13.219 16.693
1.126 -13.367 17.568
1.933 -10.151 20.553
4.745 -9.969 19.591
0.311 -12.207 20.102
3.146 -12.115 19.237
0.184 -2.635 0.341
-2.650 -2.727 1.206
-1.437 -4.691 -0.110
-4.250 -4.873 0.853
-0.631 -1.475 2.875
-3.471 -1.623 3.750
-5.095 -6.685 2.665
-2.432 -6.599 1.852
-0.654 -4.391 2.489
-3.504 -4.548 3.331
1.296 -3.093 3.940
-1.536 -3.184 4.804
-0.439 -8.335 2.775
-3.273 -8.514 3.667
-2.567 -5.280 6.324
0.257 -5.242 5.386
-4.100 -7.518 6.139
-1.268 -7.426 5.275
0.461 -9.620 5.587
-2.380 -9.644 6.473
2.246 -4.587 7.198
-0.417 -4.673 8.011
0.798 -7.029 6.968
-2.035 -7.081 7.874
1.556 -4.099 9.761
-1.250 -4.179 10.757
-3.084 -9.399 9.274
-0.249 -9.307 8.409
```



Entry B
# Al8SiO14

A geometry-optimized Al8SiO14 structure (GGA-PBE, the Materials Project).

Computed properties:
**Space-group type**: Pmc2_1, No. 26
**V**: 539.0 Å³ per cell

```
Al8SiO14
1.0
-2.619 -1.391 0.079
2.132 -3.639 6.556
-8.905 17.474 12.593
Al Si O
16 2 28
Cartesian
-2.359 4.768 5.780
-5.414 10.763 10.086
-5.768 11.724 15.285
0.088 0.234 7.018
-8.393 13.468 14.678
-2.044 0.763 1.390
-3.867 4.605 8.608
-4.503 6.098 13.816
0.512 -0.868 1.690
-2.884 6.066 11.235
-2.575 2.106 7.431
-5.704 8.433 15.119
-7.391 11.464 12.609
-3.068 2.797 3.235
-5.533 7.914 11.661
-1.465 -0.168 4.183
-2.849 2.811 10.747
-8.969 14.395 11.914
-2.955 2.915 9.086
-5.374 7.718 13.473
-8.269 13.123 12.733
-2.213 1.185 3.204
-1.603 3.403 6.774
-6.268 12.324 9.287
-5.931 11.927 13.453
0.128 0.270 8.968
-7.505 14.964 14.798
-0.321 0.662 1.010
-2.785 5.771 9.324
-2.889 6.183 13.102
-6.978 10.608 11.202
-3.456 3.613 4.764
-1.795 0.623 7.153
-6.529 9.995 15.303
-4.596 9.279 11.060
-1.179 2.853 11.130
-0.043 0.370 5.073
-7.715 15.146 11.020
-0.957 -1.200 2.806
-9.490 15.439 13.028
-4.732 6.380 11.187
-3.538 4.142 11.344
-3.977 4.712 6.868
-6.527 9.632 8.997
-7.659 12.135 15.534
-0.646 -1.543 7.094
```



Result of the stability comparison: entry A is the most stable of them.